Run i
Material: LiNi2P3O10
Method: DFT, PBE with a Hubbard U
State: optimized geometry

Cell and atoms, written as CIF:
```
data_LiNi2P3O10
_chemical_formula_sum 'Li2 Ni4 P6 O20'
_symmetry_space_group_name_H-M 'P 1'
_symmetry_Int_Tables_number 1
_cell_length_a 7.8826
_cell_length_b 7.8826
_cell_length_c 8.6198
_cell_angle_alpha 64.96
_cell_angle_beta 64.96
_cell_angle_gamma 71.48
loop_
_symmetry_equiv_pos_as_xyz
'x,y,z'
loop_
_atom_site_label
_atom_site_fract_x
_atom_site_fract_y
_atom_site_fract_z
Li1 0.3615 0.6385 0.2500
Li2 0.6385 0.3615 0.7500
Ni1 0.6763 0.7550 0.4547
Ni2 0.7550 0.6763 0.9547
Ni3 0.2450 0.3237 0.0453
Ni4 0.3237 0.2450 0.5453
P1 0.8437 0.4467 0.3109
P2 0.4467 0.8437 0.8109
P3 0.9100 0.0900 0.2500
P4 0.0900 0.9100 0.7500
P5 0.5533 0.1563 0.1891
P6 0.1563 0.5533 0.6891
O1 0.8844 0.8903 0.3757
O2 0.8903 0.8844 0.8757
O3 0.5239 0.9548 0.3153
O4 0.7853 0.4785 0.4926
O5 0.6920 0.5695 0.2205
O6 0.9548 0.5239 0.8153
O7 0.8279 0.2240 0.3733
O8 0.4785 0.7853 0.9926
O9 0.5695 0.6920 0.7205
O10 0.7760 0.1721 0.1267
O11 0.2240 0.8279 0.8733
O12 0.4305 0.3080 0.2795
O13 0.5215 0.2147 0.0074
O14 0.1721 0.7760 0.6267
O15 0.0452 0.4761 0.1847
O16 0.3080 0.4305 0.7795
O17 0.2147 0.5215 0.5074
O18 0.4761 0.0452 0.6847
O19 0.1097 0.1156 0.1243
O20 0.1156 0.1097 0.6243
```

***

Run ii
Material: LiNi2P3O10
Method: DFT, PBE with a Hubbard U
State: optimized geometry

Cell and atoms, written as CIF:
```
data_LiNi2P3O10
_chemical_formula_sum 'Li2 Ni4 P6 O20'
_symmetry_space_group_name_H-M 'P 1'
_symmetry_Int_Tables_number 1
_cell_length_a 8.4707
_cell_length_b 4.6322
_cell_length_c 9.0015
_cell_angle_alpha 81.99
_cell_angle_beta 90.00
_cell_angle_gamma 90.00
loop_
_symmetry_equiv_pos_as_xyz
'x,y,z'
loop_
_atom_site_label
_atom_site_fract_x
_atom_site_fract_y
_atom_site_fract_z
Li1 0.5000 0.0000 0.0000
Li2 0.0000 0.0000 0.0000
Ni1 0.5693 0.9637 0.3362
Ni2 0.0693 0.0363 0.6638
Ni3 0.4307 0.0363 0.6638
Ni4 0.9307 0.9637 0.3362
P1 0.2500 0.6020 0.4652
P2 0.7500 0.3980 0.5348
P3 0.2500 0.3293 0.1788
P4 0.7500 0.6707 0.8212
P5 0.2500 0.4622 0.8540
P6 0.7500 0.5378 0.1460
O1 0.2500 0.2951 0.5552
O2 0.7500 0.7049 0.4448
O3 0.5976 0.2279 0.5142
O4 0.0976 0.7721 0.4858
O5 0.4024 0.7721 0.4858
O6 0.9024 0.2279 0.5142
O7 0.5981 0.8425 0.8121
O8 0.0981 0.1575 0.1879
O9 0.9012 0.7116 0.1603
O10 0.4012 0.2884 0.8397
O11 0.0988 0.2884 0.8397
O12 0.5988 0.7116 0.1603
O13 0.7500 0.2328 0.2390
O14 0.2500 0.7672 0.7610
O15 0.7500 0.4351 0.7102
O16 0.2500 0.5649 0.2898
O17 0.7500 0.4486 0.9754
O18 0.2500 0.5514 0.0246
O19 0.9019 0.8425 0.8121
O20 0.4019 0.1575 0.1879
```

***

The structure with the greatest stability is run ii.

***

Run i
Material: Li2NiP5O15
Method: DFT, PBE with a Hubbard U
State: optimized geometry

Cell and atoms, written as CIF:
```
data_Li2NiP5O15
_chemical_formula_sum 'Li4 Ni2 P10 O30'
_symmetry_space_group_name_H-M 'P 1'
_symmetry_Int_Tables_number 1
_cell_length_a 9.2900
_cell_length_b 5.1469
_cell_length_c 13.1835
_cell_angle_alpha 70.32
_cell_angle_beta 90.00
_cell_angle_gamma 90.00
loop_
_symmetry_equiv_pos_as_xyz
'x,y,z'
loop_
_atom_site_label
_atom_site_fract_x
_atom_site_fract_y
_atom_site_fract_z
Li1 0.3422 0.0527 0.0527
Li2 0.3513 0.9487 0.4497
Li3 0.6577 0.0527 0.5527
Li4 0.6487 0.9487 0.9497
Ni1 0.0022 0.0065 0.4972
Ni2 0.9978 0.0065 0.9972
P1 0.8147 0.4133 0.0855
P2 0.5092 0.4549 0.1421
P3 0.9992 0.0072 0.2472
P4 0.5126 0.5465 0.3585
P5 0.8183 0.5977 0.4102
P6 0.1853 0.4133 0.5855
P7 0.4908 0.4549 0.6421
P8 0.0008 0.0072 0.7472
P9 0.4874 0.5465 0.8585
P10 0.1817 0.5977 0.9102
O1 0.8622 0.2929 0.0017
O2 0.8204 0.7232 0.0544
O3 0.4870 0.7399 0.0620
O4 0.6514 0.3118 0.1160
O5 0.0777 0.9660 0.1538
O6 0.3883 0.2527 0.1580
O7 0.8913 0.2694 0.1999
O8 0.5626 0.5006 0.2500
O9 0.8926 0.7434 0.2950
O10 0.3900 0.7443 0.3448
O11 0.0785 0.0495 0.3399
O12 0.6543 0.6960 0.3814
O13 0.4947 0.2612 0.4394
O14 0.8252 0.2880 0.4412
O15 0.8669 0.7184 0.4937
O16 0.1378 0.2929 0.5017
O17 0.1796 0.7232 0.5544
O18 0.5130 0.7399 0.5620
O19 0.3486 0.3118 0.6160
O20 0.9223 0.9660 0.6538
O21 0.6117 0.2527 0.6580
O22 0.1087 0.2694 0.6999
O23 0.4374 0.5006 0.7500
O24 0.1074 0.7434 0.7950
O25 0.6100 0.7443 0.8448
O26 0.9215 0.0495 0.8399
O27 0.3457 0.6960 0.8814
O28 0.5053 0.2612 0.9394
O29 0.1748 0.2880 0.9412
O30 0.1331 0.7184 0.9937
```

***

Run ii
Material: Li2NiP5O15
Method: DFT, PBE with a Hubbard U
State: optimized geometry

Cell and atoms, written as CIF:
```
data_Li2NiP5O15
_chemical_formula_sum 'Li4 Ni2 P10 O30'
_symmetry_space_group_name_H-M 'P 1'
_symmetry_Int_Tables_number 1
_cell_length_a 7.0102
_cell_length_b 7.0102
_cell_length_c 13.5494
_cell_angle_alpha 82.98
_cell_angle_beta 82.98
_cell_angle_gamma 113.04
loop_
_symmetry_equiv_pos_as_xyz
'x,y,z'
loop_
_atom_site_label
_atom_site_fract_x
_atom_site_fract_y
_atom_site_fract_z
Li1 0.7432 0.2507 0.7115
Li2 0.2507 0.7432 0.2115
Li3 0.2008 0.3764 0.6158
Li4 0.3764 0.2008 0.1158
Ni1 0.1562 0.9002 0.7744
Ni2 0.9002 0.1562 0.2744
P1 0.3473 0.9627 0.5299
P2 0.7157 0.6109 0.5499
P3 0.6263 0.8191 0.8285
P4 0.9627 0.3473 0.0299
P5 0.6109 0.7157 0.0499
P6 0.8191 0.6263 0.3285
P7 0.8233 0.0927 0.5222
P8 0.0927 0.8233 0.0222
P9 0.2260 0.4464 0.8229
P10 0.4464 0.2260 0.3229
O1 0.8445 0.8397 0.7943
O2 0.8397 0.8445 0.2943
O3 0.7721 0.5139 0.6397
O4 0.5139 0.7721 0.1397
O5 0.7859 0.8521 0.5528
O6 0.8521 0.7859 0.0528
O7 0.5982 0.8455 0.9474
O8 0.8455 0.5982 0.4474
O9 0.5474 0.9669 0.7746
O10 0.9669 0.5474 0.2746
O11 0.7488 0.2993 0.0026
O12 0.2993 0.7488 0.5026
O13 0.1780 0.9253 0.9142
O14 0.4819 0.5101 0.5490
O15 0.9253 0.1780 0.4142
O16 0.4682 0.5767 0.8331
O17 0.5101 0.4819 0.0490
O18 0.5767 0.4682 0.3331
O19 0.9260 0.2064 0.6006
O20 0.2064 0.9260 0.1006
O21 0.5877 0.0787 0.5417
O22 0.0787 0.5877 0.0417
O23 0.1271 0.5929 0.7880
O24 0.5929 0.1271 0.2880
O25 0.1206 0.3264 0.9391
O26 0.3264 0.1206 0.4391
O27 0.2196 0.2826 0.7601
O28 0.2826 0.2196 0.2601
O29 0.2167 0.9777 0.6235
O30 0.9777 0.2167 0.1235
```

***

The structure with the greatest stability is run i.

***

Run i
Material: LiNiP5O15
Method: DFT, PBE with a Hubbard U
State: optimized geometry

Cell and atoms, written as CIF:
```
data_LiNiP5O15
_chemical_formula_sum 'Li4 Ni4 P20 O60'
_symmetry_space_group_name_H-M 'P 1'
_symmetry_Int_Tables_number 1
_cell_length_a 13.6505
_cell_length_b 9.0259
_cell_length_c 10.2129
_cell_angle_alpha 79.43
_cell_angle_beta 90.00
_cell_angle_gamma 90.00
loop_
_symmetry_equiv_pos_as_xyz
'x,y,z'
loop_
_atom_site_label
_atom_site_fract_x
_atom_site_fract_y
_atom_site_fract_z
Li1 0.8964 0.1005 0.7173
Li2 0.3964 0.8995 0.7827
Li3 0.1036 0.8995 0.2827
Li4 0.6036 0.1005 0.2173
Ni1 0.5000 0.5000 0.0000
Ni2 0.5000 0.5000 0.5000
Ni3 0.0000 0.5000 0.0000
Ni4 0.0000 0.5000 0.5000
P1 0.5723 0.8032 0.5885
P2 0.2509 0.0012 0.5201
P3 0.8585 0.5209 0.7501
P4 0.9277 0.8032 0.0885
P5 0.0830 0.1894 0.4256
P6 0.1415 0.4791 0.2499
P7 0.3615 0.4801 0.2457
P8 0.3585 0.4791 0.7499
P9 0.0723 0.1968 0.9115
P10 0.4170 0.1894 0.9256
P11 0.5830 0.8106 0.0744
P12 0.7509 0.9988 0.9799
P13 0.2491 0.0012 0.0201
P14 0.6415 0.5209 0.2501
P15 0.4277 0.1968 0.4115
P16 0.9170 0.8106 0.5744
P17 0.8615 0.5199 0.2543
P18 0.6385 0.5199 0.7543
P19 0.7491 0.9988 0.4799
P20 0.1385 0.4801 0.7457
O1 0.6252 0.5063 0.3983
O2 0.1430 0.3026 0.8084
O3 0.6469 0.6954 0.1818
O4 0.0724 0.5628 0.8239
O5 0.1469 0.3046 0.3182
O6 0.4276 0.5628 0.3239
O7 0.9882 0.7228 0.5048
O8 0.7321 0.0786 0.0950
O9 0.1530 0.1035 0.0047
O10 0.0150 0.2864 0.9975
O11 0.1690 0.1261 0.5322
O12 0.9223 0.4315 0.6735
O13 0.4223 0.5685 0.8265
O14 0.3570 0.3026 0.3084
O15 0.9850 0.7136 0.0025
O16 0.0777 0.5685 0.3265
O17 0.8470 0.8965 0.9953
O18 0.3756 0.4964 0.0965
O19 0.8570 0.6974 0.1916
O20 0.2520 0.5306 0.2681
O21 0.7679 0.0786 0.5950
O22 0.5777 0.4315 0.1735
O23 0.7520 0.4694 0.2319
O24 0.6690 0.8739 0.9678
O25 0.4882 0.2772 0.9952
O26 0.1252 0.4937 0.1017
O27 0.5724 0.4372 0.6761
O28 0.4850 0.2864 0.4975
O29 0.3470 0.1035 0.5047
O30 0.7370 0.1074 0.3492
O31 0.9903 0.9013 0.1559
O32 0.0118 0.2772 0.4952
O33 0.6244 0.5036 0.9035
O34 0.3748 0.4937 0.6017
O35 0.5097 0.9013 0.6559
O36 0.2480 0.5306 0.7681
O37 0.2679 0.9214 0.9050
O38 0.5451 0.9333 0.1394
O39 0.3310 0.1261 0.0322
O40 0.6430 0.6974 0.6916
O41 0.0451 0.0667 0.3606
O42 0.6530 0.8965 0.4953
O43 0.4903 0.0987 0.3441
O44 0.2370 0.8926 0.1508
O45 0.5118 0.7228 0.0048
O46 0.2321 0.9214 0.4050
O47 0.2630 0.8926 0.6508
O48 0.0097 0.0987 0.8441
O49 0.5150 0.7136 0.5025
O50 0.8756 0.5036 0.4035
O51 0.8748 0.5063 0.8983
O52 0.9549 0.9333 0.6394
O53 0.7480 0.4694 0.7319
O54 0.9276 0.4372 0.1761
O55 0.7630 0.1074 0.8492
O56 0.4549 0.0667 0.8606
O57 0.8310 0.8739 0.4678
O58 0.1244 0.4964 0.5965
O59 0.3531 0.3046 0.8182
O60 0.8531 0.6954 0.6818
```

***

Run ii
Material: LiNiP5O15
Method: DFT, PBE with a Hubbard U
State: optimized geometry

Cell and atoms, written as CIF:
```
data_LiNiP5O15
_chemical_formula_sum 'Li2 Ni2 P10 O30'
_symmetry_space_group_name_H-M 'P 1'
_symmetry_Int_Tables_number 1
_cell_length_a 9.4936
_cell_length_b 5.3847
_cell_length_c 13.2215
_cell_angle_alpha 69.19
_cell_angle_beta 90.00
_cell_angle_gamma 90.00
loop_
_symmetry_equiv_pos_as_xyz
'x,y,z'
loop_
_atom_site_label
_atom_site_fract_x
_atom_site_fract_y
_atom_site_fract_z
Li1 0.2952 0.9396 0.4169
Li2 0.7048 0.9396 0.9169
Ni1 0.9852 0.0311 0.4978
Ni2 0.0148 0.0311 0.9978
P1 0.0004 0.0168 0.2472
P2 0.5216 0.5526 0.3531
P3 0.1929 0.3677 0.5846
P4 0.1814 0.6288 0.9130
P5 0.4787 0.4457 0.6474
P6 0.8186 0.6288 0.4130
P7 0.5213 0.4457 0.1474
P8 0.8071 0.3677 0.0846
P9 0.9996 0.0168 0.7472
P10 0.4784 0.5526 0.8531
O1 0.8911 0.7718 0.2964
O2 0.1043 0.2692 0.6957
O3 0.5149 0.2813 0.9343
O4 0.3448 0.6936 0.8820
O5 0.1494 0.7713 0.9895
O6 0.8416 0.2060 0.0146
O7 0.3984 0.7426 0.3313
O8 0.8506 0.7713 0.4895
O9 0.1089 0.7718 0.7964
O10 0.5858 0.5126 0.2476
O11 0.9225 0.0595 0.8399
O12 0.8197 0.6644 0.0344
O13 0.4946 0.7061 0.5538
O14 0.6102 0.2779 0.6765
O15 0.6504 0.2732 0.1293
O16 0.0779 0.9677 0.1572
O17 0.6552 0.6936 0.3820
O18 0.3496 0.2732 0.6293
O19 0.6016 0.7426 0.8313
O20 0.4851 0.2813 0.4343
O21 0.8465 0.3370 0.4485
O22 0.0775 0.0595 0.3399
O23 0.8957 0.2692 0.1957
O24 0.9221 0.9677 0.6572
O25 0.1584 0.2060 0.5147
O26 0.4142 0.5126 0.7476
O27 0.5054 0.7061 0.0538
O28 0.3898 0.2779 0.1765
O29 0.1803 0.6644 0.5344
O30 0.1535 0.3370 0.9485
```

***

The structure with the greatest stability is run i.

***

Run i
Material: Li3Ni2SbO6
Method: DFT, PBE with a Hubbard U
State: optimized geometry

Cell and atoms, written as CIF:
```
data_Li3Ni2SbO6
_chemical_formula_sum 'Li3 Ni2 Sb1 O6'
_symmetry_space_group_name_H-M 'P 1'
_symmetry_Int_Tables_number 1
_cell_length_a 5.2314
_cell_length_b 5.2308
_cell_length_c 5.2308
_cell_angle_alpha 119.76
_cell_angle_beta 99.97
_cell_angle_gamma 99.97
loop_
_symmetry_equiv_pos_as_xyz
'x,y,z'
loop_
_atom_site_label
_atom_site_fract_x
_atom_site_fract_y
_atom_site_fract_z
Li1 0.5000 0.8287 0.1713
Li2 0.5000 0.1713 0.8287
Li3 0.5000 0.5000 0.5000
Ni1 0.0000 0.6666 0.3334
Ni2 0.0000 0.3334 0.6666
Sb1 0.0000 0.0000 0.0000
O1 0.2290 0.7590 0.7590
O2 0.7710 0.2410 0.2410
O3 0.2328 0.0790 0.3987
O4 0.2328 0.3987 0.0790
O5 0.7672 0.9210 0.6013
O6 0.7672 0.6013 0.9210
```

***

Run ii
Material: Li3Ni2SbO6
Method: DFT, PBE with a Hubbard U
State: optimized geometry

Cell and atoms, written as CIF:
```
data_Li3Ni2SbO6
_chemical_formula_sum 'Li3 Ni2 Sb1 O6'
_symmetry_space_group_name_H-M 'P 1'
_symmetry_Int_Tables_number 1
_cell_length_a 6.5792
_cell_length_b 6.5792
_cell_length_c 6.1728
_cell_angle_alpha 77.00
_cell_angle_beta 77.00
_cell_angle_gamma 26.90
loop_
_symmetry_equiv_pos_as_xyz
'x,y,z'
loop_
_atom_site_label
_atom_site_fract_x
_atom_site_fract_y
_atom_site_fract_z
Li1 0.0000 0.0000 0.0000
Li2 0.6769 0.6769 0.6974
Li3 0.3231 0.3231 0.3026
Ni1 0.6718 0.6718 0.1470
Ni2 0.3282 0.3282 0.8530
Sb1 0.0000 0.0000 0.5000
O1 0.1563 0.1563 0.4079
O2 0.8363 0.8363 0.0721
O3 0.8437 0.8437 0.5921
O4 0.5036 0.5036 0.7218
O5 0.4964 0.4964 0.2782
O6 0.1637 0.1637 0.9279
```

***

The structure with the greatest stability is run i.

***

Run i
Material: LiNiSbO4
Method: DFT, PBE with a Hubbard U
State: optimized geometry

Cell and atoms, written as CIF:
```
data_LiNiSbO4
_chemical_formula_sum 'Li4 Ni4 Sb4 O16'
_symmetry_space_group_name_H-M 'P 1'
_symmetry_Int_Tables_number 1
_cell_length_a 6.0566
_cell_length_b 8.6311
_cell_length_c 6.2117
_cell_angle_alpha 90.00
_cell_angle_beta 90.00
_cell_angle_gamma 90.00
loop_
_symmetry_equiv_pos_as_xyz
'x,y,z'
loop_
_atom_site_label
_atom_site_fract_x
_atom_site_fract_y
_atom_site_fract_z
Li1 0.2500 0.1073 0.0000
Li2 0.7500 0.6073 0.5000
Li3 0.7500 0.8927 0.0000
Li4 0.2500 0.3927 0.5000
Ni1 0.0000 0.0000 0.5000
Ni2 0.5000 0.0000 0.5000
Ni3 0.5000 0.5000 0.0000
Ni4 0.0000 0.5000 0.0000
Sb1 0.7500 0.2500 0.2500
Sb2 0.2500 0.7500 0.7500
Sb3 0.7500 0.2500 0.7500
Sb4 0.2500 0.7500 0.2500
O1 0.5238 0.2522 0.0000
O2 0.0238 0.7522 0.5000
O3 0.9762 0.2522 0.0000
O4 0.4762 0.7522 0.5000
O5 0.0238 0.7478 0.0000
O6 0.5238 0.2478 0.5000
O7 0.4762 0.7478 0.0000
O8 0.9762 0.2478 0.5000
O9 0.7500 0.4775 0.2297
O10 0.2500 0.9775 0.7297
O11 0.7500 0.4775 0.7703
O12 0.2500 0.9775 0.2702
O13 0.2500 0.5225 0.7703
O14 0.7500 0.0225 0.2703
O15 0.2500 0.5225 0.2297
O16 0.7500 0.0225 0.7298
```

***

Run ii
Material: LiNiSbO4
Method: DFT, PBE with a Hubbard U
State: optimized geometry

Cell and atoms, written as CIF:
```
data_LiNiSbO4
_chemical_formula_sum 'Li4 Ni4 Sb4 O16'
_symmetry_space_group_name_H-M 'P 1'
_symmetry_Int_Tables_number 1
_cell_length_a 5.1962
_cell_length_b 6.0248
_cell_length_c 10.6938
_cell_angle_alpha 90.00
_cell_angle_beta 90.00
_cell_angle_gamma 90.00
loop_
_symmetry_equiv_pos_as_xyz
'x,y,z'
loop_
_atom_site_label
_atom_site_fract_x
_atom_site_fract_y
_atom_site_fract_z
Li1 0.0000 0.0000 0.0000
Li2 0.5000 0.0000 0.5000
Li3 0.0000 0.5000 0.0000
Li4 0.5000 0.5000 0.5000
Ni1 0.0055 0.7500 0.7309
Ni2 0.4945 0.7500 0.2309
Ni3 0.9945 0.2500 0.2691
Ni4 0.5055 0.2500 0.7691
Sb1 0.5439 0.7500 0.9014
Sb2 0.9561 0.7500 0.4014
Sb3 0.4561 0.2500 0.0986
Sb4 0.0439 0.2500 0.5986
O1 0.8207 0.2500 0.0937
O2 0.2366 0.4867 0.6748
O3 0.7366 0.5133 0.8252
O4 0.7634 0.9867 0.3252
O5 0.2634 0.0133 0.1748
O6 0.7634 0.5133 0.3252
O7 0.2634 0.4867 0.1748
O8 0.2366 0.0133 0.6748
O9 0.1793 0.7500 0.9063
O10 0.6793 0.2500 0.5937
O11 0.7366 0.9867 0.8252
O12 0.3207 0.7500 0.4063
O13 0.6928 0.7500 0.0648
O14 0.3072 0.2500 0.9352
O15 0.1928 0.2500 0.4352
O16 0.8072 0.7500 0.5648
```

***

The structure with the greatest stability is run i.